Compound: Cu2AgO4
Source: Materials Project
Functional: meta-GGA r2SCAN
Structure: relaxed

Cell lengths 3.6171, 4.6125, 5.2465 Å; angles 82.26, 86.68, 82.57 degrees
Fractional positions:
Cu (0.0000, 0.5000, 0.5000)
O (0.6933, 0.7491, 0.2715)
Cu (0.5000, 0.0000, 0.5000)
O (0.8293, 0.7782, 0.7186)
Ag (0.0000, 0.0000, 0.0000)
O (0.1707, 0.2218, 0.2814)
O (0.3067, 0.2509, 0.7285)

Computed properties:
Formation energy ... -0.46 eV per atom